# BaTi2O5 (PBE-GGA, optimized geometry)
data_BaTi2O5
_chemical_formula_sum 'Ba6 Ti12 O30'
_cell_length_a 17.043
_cell_length_b 3.969
_cell_length_c 9.596
_cell_angle_alpha 90.00
_cell_angle_beta 102.85
_cell_angle_gamma 90.00
_space_group_name_H-M_alt 'C 1 2 1'
_space_group_IT_number 5
loop_
_space_group_symop_operation_xyz
'x,y,z'
'-x,y,-z'
'x+1/2,y+1/2,z'
'-x+1/2,y+1/2,-z'
loop_
_atom_site_label
_atom_site_type_symbol
_atom_site_fract_x
_atom_site_fract_y
_atom_site_fract_z
Ba1 Ba 0.000 0.000 0.000
Ba2 Ba 0.132 0.002 0.484
Ti1 Ti 0.039 0.530 0.709
Ti2 Ti 0.167 0.494 0.196
Ti3 Ti 0.206 0.489 0.873
O1 O 0.000 0.489 0.500
O2 O 0.035 0.982 0.709
O3 O 0.058 0.487 0.211
O4 O 0.108 0.494 0.925
O5 O 0.153 0.493 0.686
O6 O 0.175 0.992 0.163
O7 O 0.210 0.496 0.377
O8 O 0.235 0.992 0.899
# Calculated formation energy (meV/atom): -3513